Computed, not measured: BaSrEuSbO6 after structural relaxation at the PBE level of DFT.

Lattice parameters (Å, degrees): 6.016 6.068 8.561 90.35 90.26 90.67
Space group P-1 (No. 2)
Symmetry-distinct sites (fractional):
Ba 0.006 0.029 0.249 x2
Sr 0.492 0.539 0.251 x2
Eu 0.000 0.500 0.500 x1
Eu 0.500 0.000 0.000 x1
Sb 0.000 0.500 0.000 x1
Sb 0.500 0.000 0.500 x1
O 0.079 0.507 0.767 x2
O 0.201 0.763 0.037 x2
O 0.237 0.796 0.467 x2
O 0.269 0.303 0.041 x2
O 0.306 0.273 0.461 x2
O 0.439 0.027 0.733 x2

Summary:
total magnetic moment = 6.00 μB/f.u.
crystal system = triclinic
energy relative to the lowest polymorph listed for this composition = 0.000 eV/atom

Computed, not measured: BaSrEuSbO6 after structural relaxation at the PBE level of DFT.

Lattice parameters (Å, degrees): 8.564 8.564 8.564 90.00 90.00 90.00
Space group F-43m (No. 216)
Symmetry-distinct sites (fractional):
Ba 0.000 0.000 0.000 x4
Sr 0.000 0.000 0.500 x4
Eu 0.250 0.250 0.250 x4
Sb 0.250 0.250 0.750 x4
O 0.015 0.250 0.750 x24

Summary:
total magnetic moment = 6.00 μB/f.u.
crystal system = cubic
energy relative to the lowest polymorph listed for this composition = 0.022 eV/atom

no.,ΔE_f (eV/atom)
1,-2.85
2,-2.83